Entry 1:
The following is a DFT calculation (PBE-GGA) of crystalline Pb2CCl2O3 at its relaxed geometry. Values from VASP.

Structure (Quantum ESPRESSO input):
```
&SYSTEM
  ibrav = 0, nat = 32, ntyp = 4
/
ATOMIC_SPECIES
O 16.00 O.upf
Pb 207.20 Pb.upf
C 12.01 C.upf
Cl 35.45 Cl.upf
CELL_PARAMETERS angstrom
-0.641 -0.803 8.204
8.070 -1.735 0.461
1.831 8.784 1.003
ATOMIC_POSITIONS angstrom
O 3.163 0.374 1.342
O 5.601 -1.402 2.056
Pb 2.493 5.952 3.550
C 2.495 -0.703 1.599
Pb 6.767 0.294 6.117
O 4.735 -0.666 7.578
O 8.403 5.847 4.336
Cl 7.568 2.631 3.784
Cl 1.692 3.616 5.883
C 4.934 -1.835 7.065
O 0.857 0.399 5.330
Cl 1.382 6.633 0.757
O 4.525 6.912 2.088
O 5.914 -1.940 6.194
O 7.040 -0.691 3.590
O 1.515 -0.598 2.470
O 6.098 5.872 8.325
Pb 7.650 4.530 6.601
Cl 5.097 5.364 5.089
O 1.829 -1.136 6.608
Cl 4.163 0.882 4.578
Cl 5.596 2.584 7.792
Pb 3.508 5.264 7.728
Pb 5.752 0.982 1.939
O 2.220 6.937 6.077
Pb 6.635 5.218 2.423
Pb 1.611 1.717 3.066
C 6.437 -1.687 3.031
Cl 3.664 3.662 1.875
Pb 2.626 1.028 7.244
Cl 0.448 2.151 0.246
C 0.993 -0.850 5.633
```

Values from the calculation:
ΔE_f = -1.56 eV/atom
Excess energy over the best structure of this formula in the dataset = 0 meV per atom
Uncorrected energy = -5.704 eV/atom

Entry 2:
The following is a DFT calculation (PBE-GGA) of crystalline PdC2ClO2 at its relaxed geometry. Values from VASP.

Structure (Quantum ESPRESSO input):
```
&SYSTEM
  ibrav = 0, nat = 48, ntyp = 4
/
ATOMIC_SPECIES
O 16.00 O.upf
Cl 35.45 Cl.upf
C 12.01 C.upf
Pd 106.42 Pd.upf
CELL_PARAMETERS angstrom
-7.475 7.475 4.889
7.475 -7.475 4.889
7.475 7.475 -4.889
ATOMIC_POSITIONS angstrom
O 6.224 -0.813 5.461
O 5.164 0.842 2.283
Cl 5.398 4.387 1.545
O 9.787 -0.842 2.283
O 2.312 0.842 0.162
C 8.870 2.799 1.721
C 2.799 6.081 -1.721
Cl 5.398 3.088 5.789
O 6.224 8.288 1.872
C -1.394 4.676 6.610
Pd 3.399 2.193 4.444
C -1.706 9.122 3.715
C 2.799 1.394 -0.724
C 4.676 1.394 3.168
O 5.164 6.633 5.050
O 6.663 1.251 -0.572
Cl 4.387 9.553 -1.545
O 0.842 12.639 -0.162
C 6.081 -4.676 5.612
C 5.769 5.829 -1.271
O 8.318 2.312 2.606
Pd -3.399 9.669 2.889
C 1.706 5.829 3.715
C -1.647 5.769 1.174
C 1.394 12.152 0.724
Pd -2.193 4.076 2.000
Cl 10.564 2.078 -0.900
O 1.251 -0.813 6.761
O 0.813 1.251 3.017
O 6.663 6.224 -1.872
Cl 2.078 4.387 0.900
O 1.251 8.288 0.572
O 6.633 -5.164 4.727
C 1.647 9.182 1.174
Pd 4.076 5.282 -0.445
O 0.813 6.224 4.316
C -1.647 1.706 6.159
Cl 2.078 3.088 6.433
C 9.122 5.769 1.271
O 6.633 -2.312 2.606
Cl -3.088 5.398 3.989
C 1.706 1.647 3.618
Pd 2.193 10.875 2.000
Pd 9.669 4.076 0.445
Pd -2.193 3.399 5.333
Pd 3.399 5.282 2.889
Cl 3.088 -2.078 3.344
C 4.676 6.081 4.165
```

Values from the calculation:
ΔE_f = -0.66 eV/atom
Uncorrected energy = -6.331 eV/atom

Entry 3:
The following is a DFT calculation (PBE-GGA) of crystalline PrC2ClO7 at its relaxed geometry. Values from VASP.

Structure (Quantum ESPRESSO input):
```
&SYSTEM
  ibrav = 0, nat = 44, ntyp = 4
/
ATOMIC_SPECIES
Pr 140.91 Pr.upf
O 16.00 O.upf
C 12.01 C.upf
Cl 35.45 Cl.upf
CELL_PARAMETERS angstrom
14.112 0.000 0.000
0.000 6.076 0.000
0.000 3.410 8.957
ATOMIC_POSITIONS angstrom
Pr 12.511 4.226 5.877
O 3.648 5.584 8.159
O 8.300 6.118 1.238
O 11.133 3.863 3.888
O 10.704 5.607 5.277
Pr 8.657 2.521 1.398
O 8.537 7.107 3.917
Pr 1.601 5.260 3.080
O 12.867 7.823 5.716
O 6.736 5.138 8.771
O 11.922 5.720 7.631
O 12.631 8.812 8.395
O 5.575 2.378 5.041
C 8.244 6.726 4.986
O 13.792 6.052 4.665
O 7.376 4.347 0.186
Pr 5.455 6.965 7.559
C 1.188 4.464 8.449
Cl 4.261 6.162 3.073
C 5.868 2.759 3.971
C 12.924 5.021 0.508
O 4.077 3.917 0.590
O 9.245 4.015 3.153
O 10.464 3.902 0.799
Cl 11.317 1.619 1.406
O 0.789 4.799 7.392
C 6.598 3.880 8.542
O 6.266 3.094 2.914
Cl 2.795 7.866 7.551
O 4.867 5.471 5.804
O 2.979 5.622 5.069
C 7.513 5.605 0.416
O 7.845 6.392 6.043
C 13.654 7.310 4.894
O 3.408 3.879 3.680
O 0.320 3.433 4.292
Cl 9.851 3.324 5.884
O 2.189 3.766 1.326
C 0.457 2.175 4.063
O 13.322 4.687 1.565
O 10.035 5.568 8.367
O 1.481 0.674 0.562
O 5.812 3.367 7.720
O 1.244 1.662 3.241
```

Values from the calculation:
ΔE_f = -1.32 eV/atom
Uncorrected energy = -6.311 eV/atom

Entry 4:
The following is a DFT calculation (PBE-GGA) of crystalline PtC2Cl2O2 at its relaxed geometry. Values from VASP.

Structure (Quantum ESPRESSO input):
```
&SYSTEM
  ibrav = 0, nat = 28, ntyp = 4
/
ATOMIC_SPECIES
Cl 35.45 Cl.upf
C 12.01 C.upf
Pt 195.08 Pt.upf
O 16.00 O.upf
CELL_PARAMETERS angstrom
-0.748 -6.094 11.445
-0.859 -5.881 -3.188
6.712 -2.619 -0.956
ATOMIC_POSITIONS angstrom
Cl 4.811 -11.137 3.713
C 4.408 -4.192 -0.131
C 3.789 -8.681 1.182
Pt -0.053 -6.379 7.354
Pt 5.619 -5.026 1.076
C -0.127 -6.364 1.903
Cl 0.040 -4.971 -0.686
Cl 3.766 -5.438 2.415
O 2.159 -5.651 5.391
C 5.232 -8.230 5.399
C 0.467 -2.087 0.988
Cl 1.629 -7.357 8.623
O 3.659 -3.691 -0.837
O 4.361 -7.780 4.805
O 3.689 -12.699 6.925
C 4.639 -12.507 6.313
Cl 0.294 -3.458 3.589
Cl 3.477 -7.237 -1.321
Cl 5.066 -9.623 7.987
Pt -0.513 -9.568 6.226
O 2.946 -8.943 1.911
C 0.697 -10.402 7.433
C 1.317 -5.913 6.120
Cl 1.340 -9.156 4.887
O 0.744 -6.814 2.497
O 1.416 -1.895 0.376
Pt 5.159 -8.215 -0.053
O 1.446 -10.903 8.139
```

Values from the calculation:
ΔE_f = -0.82 eV/atom
Uncorrected energy = -6.069 eV/atom

Entry 5:
The following is a DFT calculation (PBE-GGA) of crystalline ReC5ClO5 at its relaxed geometry. Values from VASP.

Structure (Quantum ESPRESSO input):
```
&SYSTEM
  ibrav = 0, nat = 48, ntyp = 4
/
ATOMIC_SPECIES
O 16.00 O.upf
Re 186.21 Re.upf
C 12.01 C.upf
Cl 35.45 Cl.upf
CELL_PARAMETERS angstrom
-4.774 3.759 0.378
-2.900 -4.726 10.374
6.706 7.964 5.503
ATOMIC_POSITIONS angstrom
O 0.511 2.747 14.302
Re 0.588 5.088 10.819
O 2.179 3.702 6.036
O -0.165 2.043 11.293
Re -1.556 1.908 5.435
C 4.793 6.194 7.158
Re -1.103 -1.954 10.471
O -3.146 3.294 10.219
O -1.478 4.249 1.953
C -1.094 3.852 5.122
C 2.094 4.593 9.702
O 1.302 8.151 10.435
C 3.163 4.258 5.820
O -3.966 2.703 7.222
C -5.761 0.802 9.097
C 1.003 7.046 10.558
Cl -2.320 -0.106 9.281
C 0.272 7.892 4.071
O 1.650 4.432 2.792
C 1.757 5.080 12.470
C -4.942 0.379 11.774
Re 0.135 8.950 5.783
O -0.001 5.672 15.610
O -0.803 4.954 4.962
Cl 0.398 1.259 3.994
C 1.910 9.837 5.415
O -5.729 0.228 8.100
Cl 1.353 7.102 6.974
C -4.130 2.738 10.435
C -3.062 2.403 6.553
O 2.999 4.293 9.033
O 4.761 6.768 8.155
O -2.270 -1.155 5.820
C 3.974 6.617 4.481
O -3.385 1.887 2.843
Cl -1.365 5.737 12.261
C -2.724 1.916 3.784
O 2.417 5.109 13.412
C -1.240 -0.896 12.184
O -2.618 2.564 13.462
C -0.635 5.101 9.215
C -2.877 -2.841 10.840
O 0.348 1.953 7.968
C -1.971 -0.050 5.696
O -1.315 5.043 8.287
O -0.967 1.324 0.645
C 0.126 3.144 11.132
C -0.333 1.895 7.040
```

Values from the calculation:
ΔE_f = -1.04 eV/atom
Uncorrected energy = -7.847 eV/atom

Entry 6:
The following is a DFT calculation (PBE-GGA) of crystalline RhC2ClO2 at its relaxed geometry. Values from VASP.

Structure (Quantum ESPRESSO input):
```
&SYSTEM
  ibrav = 0, nat = 48, ntyp = 4
/
ATOMIC_SPECIES
C 12.01 C.upf
O 16.00 O.upf
Cl 35.45 Cl.upf
Rh 102.91 Rh.upf
CELL_PARAMETERS angstrom
-7.193 7.193 4.719
7.193 -7.193 4.719
7.193 7.193 -4.719
ATOMIC_POSITIONS angstrom
C 1.334 4.337 6.395
O 1.241 0.771 6.488
O 6.400 2.216 2.476
C 5.859 2.855 1.677
C 5.441 8.750 -1.242
C -4.337 5.859 4.036
O 5.952 0.771 5.309
O 7.964 5.952 -1.769
O -0.771 5.952 4.128
O 7.986 -2.216 2.476
O -4.977 6.400 4.835
C 11.530 1.334 -0.683
Cl 4.269 1.997 -0.865
C -1.751 5.636 3.601
Cl 2.924 5.196 3.853
C 4.337 -1.334 3.042
Rh 3.908 9.322 -0.375
C 5.859 4.337 5.402
Rh 5.063 3.908 0.375
O 4.977 -0.793 2.243
O 12.169 0.793 0.116
O 1.241 6.422 0.591
Cl 5.196 -2.924 5.584
O 0.793 2.216 -0.116
Cl 1.997 10.116 0.865
Rh 2.129 3.285 5.094
Cl 4.269 5.196 -1.494
O 5.952 6.422 1.769
O -0.771 1.241 2.950
C 2.855 8.526 -1.677
C 1.751 8.750 3.601
C 1.334 2.855 0.683
C 1.557 1.751 5.960
O 9.409 0.793 2.243
C 5.636 5.441 1.242
C 1.751 -1.557 3.477
Rh 3.285 9.322 2.734
Rh -3.285 5.063 2.734
Cl -1.997 2.924 6.213
Rh -2.129 10.478 1.985
C -1.557 8.944 1.118
Rh 2.129 3.908 1.985
Cl 9.189 4.269 1.494
Rh 3.285 -2.129 4.344
O 7.964 1.241 -0.591
Cl 2.924 1.997 3.225
O 6.400 4.977 4.603
C 1.557 5.441 1.118
```

Values from the calculation:
ΔE_f = -0.89 eV/atom
Excess energy over the best structure of this formula in the dataset = 0 meV per atom
Uncorrected energy = -6.918 eV/atom